Entry 1:
Entry from the Materials Project: a relaxed structure of AlP3NO10 (PBE).

Cell lengths 7.8117, 5.0856, 11.8381 Å; angles 90.00, 113.60, 90.00 degrees
Last column: nearest neighbours and their distance in Å.
Space group P2/c (No. 13)
One atom of each set of equivalent atoms:
Al (0.0000, 0.0000, 0.0000) x2  6 O 1.86-1.95
P (0.0000, 0.2238, 0.2500) x2  4 O 1.50-1.61
P (0.2330, 0.4880, 0.4787) x4  4 O 1.50-1.62
N (0.5000, 0.0033, 0.7500) x2  8 O 3.11-3.24
O (0.0716, 0.0703, 0.1698) x4  1 P 1.50
O (0.1585, 0.4267, 0.3331) x4  2 P 1.61
O (0.1646, 0.2839, 0.5427) x4  1 P 1.50
O (0.1993, 0.2289, 0.9976) x4  1 P 1.50
O (0.4532, 0.4131, 0.5305) x4  1 O 1.50, 1 P 1.62

Calculated values
* E_tot: -204.1 eV/cell
* formation energy: -1.9263 eV/atom

Entry 2:
Entry from the Materials Project: a relaxed structure of LuHO2 (PBE).

Cell lengths 4.2466, 3.5666, 5.8203 Å; angles 90.00, 109.56, 90.00 degrees
Last column: nearest neighbours and their distance in Å.
Space group P2_1 (No. 4)
One atom of each set of equivalent atoms:
Lu (0.1664, 0.0000, 0.3126) x2  7 O 2.22-2.40
H (0.4804, 0.5603, 0.0919) x2  1 O 0.98
O (0.2472, 0.4959, 0.0648) x2  1 H 0.98
O (0.2685, 0.5010, 0.5555) x2  4 Lu 2.22-2.26

Calculated values
* E_tot: -57.3 eV/cell
* maximum piezoelectric response: 0.70 C/m²
* formation energy: -3.0523 eV/atom

Entry 3:
Entry from the Materials Project: a relaxed structure of La2Ti2O7 (PBE).

Cell lengths 10.4870, 10.4870, 10.4870 Å; angles 90.00, 90.00, 90.00 degrees
Last column: nearest neighbours and their distance in Å.
Space group Fd-3m (No. 227, origin choice 2)
One atom of each set of equivalent atoms:
La (0.0000, 0.0000, 0.0000) x16  2 O 2.27
Ti (0.0000, 0.0000, 0.5000) x16  6 O 2.01
O (0.0728, 0.3750, 0.8750) x48  2 Ti 2.01
O (0.1250, 0.1250, 0.1250) x8  4 La 2.27

Calculated values
* E_tot: -772.5 eV/cell
* formation energy: -3.7336 eV/atom

Entry 4:
Entry from the Materials Project: a relaxed structure of PrZnAgAs2 (PBE).

Cell lengths 4.3498, 4.3498, 6.9860 Å; angles 90.00, 90.00, 120.00 degrees
Last column: nearest neighbours and their distance in Å.
Space group P3m1 (No. 156)
One atom of each set of equivalent atoms:
Pr (0.0000, 0.0000, 0.0000) x1  6 As 2.99-3.11
Zn (0.6667, 0.3333, 0.3885) x1  4 As 2.64-2.66
Ag (0.3333, 0.6667, 0.6521) x1  4 As 2.64-2.71
As (0.3333, 0.6667, 0.2635) x1  3 Zn 2.66, 1 Ag 2.71
As (0.6667, 0.3333, 0.7667) x1  3 Ag 2.64, 1 Zn 2.64

Calculated values
* E_tot: -21.4 eV/cell
* formation energy: -0.6332 eV/atom

Entry 5:
Entry from the Materials Project: a relaxed structure of YNiGe (PBE).

Cell lengths 6.9147, 4.2468, 7.2267 Å; angles 90.00, 90.00, 90.00 degrees
Last column: nearest neighbours and their distance in Å.
Space group Pnma (No. 62)
One atom of each set of equivalent atoms:
Y (0.0104, 0.2500, 0.2050) x4  6 Ni 2.90-3.25, 6 Ge 2.95-3.10
Ni (0.1817, 0.7500, 0.4235) x4  4 Ge 2.46-2.63
Ge (0.1987, 0.2500, 0.5938) x4  4 Ni 2.46-2.63

Calculated values
* E_tot: -77.0 eV/cell
* formation energy: -0.7968 eV/atom

Entry 6:
Entry from the Materials Project: a relaxed structure of Ga2FeNi9 (PBE).

Cell lengths 3.5490, 3.5490, 10.6169 Å; angles 90.00, 90.00, 90.00 degrees
Last column: nearest neighbours and their distance in Å.
Space group P4/mmm (No. 123)
One atom of each set of equivalent atoms:
Ga (0.0000, 0.0000, 0.1672) x2  12 Ni 2.51-2.56
Fe (0.0000, 0.0000, 0.5000) x1  12 Ni 2.45-2.51
Ni (0.0000, 0.5000, 0.0000) x2  8 Ni 2.51-2.53, 4 Ga 2.51
Ni (0.0000, 0.5000, 0.3408) x4  2 Fe 2.45, 8 Ni 2.45-2.54, 2 Ga 2.56
Ni (0.5000, 0.5000, 0.1698) x2  4 Ga 2.51, 8 Ni 2.53-2.54
Ni (0.5000, 0.5000, 0.5000) x1  8 Ni 2.45, 4 Fe 2.51

Calculated values
* E_tot: -69.2 eV/cell
* formation energy: -0.2189 eV/atom

Entry 7:
Entry from the Materials Project: a relaxed structure of LuMg149 (PBE).

Cell lengths 16.0095, 16.0095, 15.6442 Å; angles 90.00, 90.00, 120.00 degrees
Last column: nearest neighbours and their distance in Å.
Space group P-6m2 (No. 187)
One atom of each set of equivalent atoms:
Lu (0.0000, 0.0000, 0.0000) x1  12 Mg 3.24
Mg (0.0000, 0.0000, 0.3346) x2  12 Mg 3.18-3.21
Mg (0.0000, 0.2004, 0.3333) x12  12 Mg 3.17-3.21
Mg (0.0001, 0.4000, 0.0000) x6  12 Mg 3.16-3.21
Mg (0.9998, 0.4002, 0.3336) x12  12 Mg 3.19-3.21
Mg (0.0024, 0.2036, 0.0000) x6  11 Mg 3.16-3.30, 1 Lu 3.24
Mg (0.0662, 0.5331, 0.5000) x3  12 Mg 3.19-3.21
Mg (0.0668, 0.1335, 0.5000) x3  12 Mg 3.18-3.21
Mg (0.0667, 0.3335, 0.5000) x6  12 Mg 3.19-3.21
Mg (0.0667, 0.5333, 0.1671) x6  12 Mg 3.18-3.20
Mg (0.0675, 0.1351, 0.1687) x6  11 Mg 3.17-3.24, 1 Lu 3.24
Mg (0.0678, 0.3352, 0.1675) x12  12 Mg 3.18-3.23
Mg (0.2002, 0.4004, 0.3340) x6  12 Mg 3.18-3.21
Mg (0.2003, 0.6002, 0.0000) x3  12 Mg 3.17-3.21
Mg (0.1999, 0.5999, 0.3337) x6  12 Mg 3.19-3.20
Mg (0.2013, 0.4026, 0.0000) x3  12 Mg 3.17-3.21
Mg (0.2643, 0.1322, 0.1650) x6  12 Mg 3.17-3.23
Mg (0.2669, 0.1335, 0.5000) x3  12 Mg 3.20-3.21
Mg (0.2667, 0.5335, 0.5000) x3  12 Mg 3.18-3.21
Mg (0.2671, 0.5341, 0.1673) x6  12 Mg 3.18-3.20
Mg (0.3998, 0.1999, 0.3329) x6  12 Mg 3.19-3.23
Mg (0.4009, 0.2005, 0.0000) x3  12 Mg 3.19-3.22
Mg (0.4657, 0.1330, 0.1665) x12  12 Mg 3.19-3.23
Mg (0.4670, 0.1340, 0.5000) x6  12 Mg 3.18-3.21
Mg (0.5999, 0.1999, 0.0000) x3  12 Mg 3.19-3.20
Mg (0.6000, 0.2000, 0.3329) x6  12 Mg 3.20
Mg (0.6667, 0.3333, 0.1662) x2  12 Mg 3.19-3.21
Mg (0.6667, 0.3333, 0.5000) x1  12 Mg 3.19-3.20

Calculated values
* E_tot: -246.9 eV/cell
* formation energy: -0.0260 eV/atom

Entry 8:
Entry from the Materials Project: a relaxed structure of Sn (PBE).

Cell lengths 4.8133, 4.8133, 4.8133 Å; angles 90.00, 90.00, 90.00 degrees
Last column: nearest neighbours and their distance in Å.
Space group Fm-3m (No. 225)
One atom of each set of equivalent atoms:
Sn (0.0000, 0.0000, 0.0000) x4  12 Sn 3.40

Calculated values
* E_tot: -15.8 eV/cell
* excess energy over the best structure of this formula in the dataset: 54 meV per atom
* formation energy: 0.0543 eV/atom

Q: Which formula does entry 3 have?
A: La2Ti2O7